This record from the Materials Project describes NdCu4P2 after structural relaxation. The functional is meta-GGA r2SCAN.

Cell: 10.958 14.569 3.861 Å, 90.00 90.00 90.00°
Positions (direct):
Nd 0.000 0.000 0.000
Nd 0.123 0.274 0.000
Nd 0.377 0.774 0.500
Nd 0.500 0.500 0.500
Nd 0.623 0.226 0.500
Nd 0.877 0.726 0.000
Cu 0.068 0.564 0.000
Cu 0.074 0.832 0.500
Cu 0.100 0.448 0.500
Cu 0.171 0.716 0.000
Cu 0.236 0.965 0.500
Cu 0.242 0.589 0.500
Cu 0.258 0.089 0.000
Cu 0.264 0.465 0.000
Cu 0.329 0.216 0.500
Cu 0.400 0.948 0.000
Cu 0.426 0.332 0.000
Cu 0.432 0.064 0.500
Cu 0.568 0.936 0.500
Cu 0.574 0.668 0.000
Cu 0.600 0.052 0.000
Cu 0.671 0.784 0.500
Cu 0.736 0.535 0.000
Cu 0.742 0.911 0.000
Cu 0.758 0.411 0.500
Cu 0.764 0.035 0.500
Cu 0.829 0.284 0.000
Cu 0.900 0.552 0.500
Cu 0.926 0.168 0.500
Cu 0.932 0.436 0.000
P 0.059 0.664 0.500
P 0.135 0.114 0.500
P 0.207 0.871 0.000
P 0.293 0.371 0.500
P 0.365 0.614 0.000
P 0.441 0.164 0.000
P 0.559 0.836 0.000
P 0.635 0.386 0.000
P 0.707 0.629 0.500
P 0.793 0.129 0.000
P 0.865 0.886 0.500
P 0.941 0.336 0.500

Output
electronic total energy: -13.563 eV/atom
volume: 616.5 Å³/cell
energy relative to the elements: -591 meV per atom